No. 1
Density functional theory data (PBE with a Hubbard U) for crystalline CoCuH28S2O22 at its relaxed geometry.

Cell lengths 6.5107, 14.1297, 10.9443 Å; angles 105.04, 90.00, 90.00 degrees
Closest atoms and distances in Å follow each position.
Sites, in units of the cell vectors:
H 0.9867 0.0791 0.3127  1 O 0.99
H 0.2542 0.3539 0.5380  1 O 0.99
H 0.0229 0.9648 0.2529  1 O 1.01
H 0.0643 0.3756 0.1438  1 O 0.99
H 0.0133 0.9209 0.6873  1 O 0.99
H 0.8134 0.3829 0.7992  1 O 0.99
H 0.4357 0.3756 0.6438  1 O 0.99
H 0.2637 0.8299 0.8653  1 O 0.98
H 0.8739 0.4118 0.5314  1 O 0.99
H 0.7637 0.1701 0.6347  1 O 0.98
H 0.7633 0.8749 0.8711  1 O 0.98
H 0.5467 0.6534 0.7002  1 O 0.99
H 0.3134 0.6171 0.7008  1 O 0.99
H 0.3813 0.4799 0.8795  1 O 0.98
H 0.7367 0.8749 0.3711  1 O 0.98
H 0.1187 0.4799 0.3795  1 O 0.98
H 0.5133 0.0791 0.8127  1 O 0.99
H 0.9357 0.6244 0.8562  1 O 0.99
H 0.5844 0.2077 0.0426  1 O 0.99
H 0.2633 0.1251 0.6289  1 O 0.98
H 0.9087 0.8209 0.1467  1 O 0.99
H 0.9533 0.6534 0.2002  1 O 0.99
H 0.4771 0.9648 0.7529  1 O 1.01
H 0.5913 0.8209 0.6467  1 O 0.99
H 0.4087 0.1791 0.3533  1 O 0.99
H 0.1866 0.6171 0.2008  1 O 0.99
H 0.3460 0.0858 0.4881  1 O 1.00
H 0.1540 0.0858 0.9881  1 O 1.00
H 0.6261 0.4118 0.0314  1 O 0.99
H 0.7458 0.6461 0.4620  1 O 0.99
H 0.4867 0.9209 0.1873  1 O 0.99
H 0.8460 0.9142 0.0119  1 O 1.00
H 0.9771 0.0352 0.7471  1 O 1.01
H 0.5229 0.0352 0.2471  1 O 1.01
H 0.7363 0.1701 0.1347  1 O 0.98
H 0.0467 0.3466 0.7998  1 O 0.99
H 0.4533 0.3466 0.2998  1 O 0.99
H 0.0913 0.1791 0.8533  1 O 0.99
H 0.1132 0.8512 0.0828  1 O 0.99
H 0.6187 0.5201 0.1205  1 O 0.98
H 0.2367 0.1251 0.1289  1 O 0.98
H 0.2363 0.8299 0.3653  1 O 0.98
H 0.6540 0.9142 0.5119  1 O 1.00
H 0.0844 0.7923 0.4574  1 O 0.99
H 0.1261 0.5882 0.4686  1 O 0.99
H 0.6866 0.3829 0.2992  1 O 0.99
H 0.7542 0.6461 0.9620  1 O 0.99
H 0.3739 0.5882 0.9686  1 O 0.99
H 0.5643 0.6244 0.3562  1 O 0.99
H 0.6132 0.1488 0.4172  1 O 0.99
H 0.8868 0.1488 0.9172  1 O 0.99
H 0.9156 0.2077 0.5426  1 O 0.99
H 0.2458 0.3539 0.0380  1 O 0.99
H 0.4156 0.7923 0.9574  1 O 0.99
H 0.8813 0.5201 0.6205  1 O 0.98
H 0.3868 0.8512 0.5828  1 O 0.99
O 0.7493 0.7521 0.2214  1 S 1.50
O 0.0192 0.1247 0.8775  2 H 0.99
O 0.3909 0.3844 0.5609  2 H 0.99
O 0.2101 0.5298 0.4311  2 H 0.98-0.99
O 0.1702 0.8478 0.4491  2 H 0.98-0.99
O 0.5532 0.9796 0.1710  2 H 0.99-1.01
O 0.7101 0.4702 0.0689  2 H 0.98-0.99
O 0.4630 0.6400 0.2170  1 S 1.49
O 0.5323 0.6993 0.0318  1 S 1.50
O 0.4808 0.1247 0.3775  2 H 0.99
O 0.1091 0.3844 0.0609  2 H 0.99
O 0.0428 0.5951 0.1826  2 H 0.99
O 0.5192 0.8753 0.6225  2 H 0.99
O 0.4468 0.0204 0.8290  2 H 0.99-1.01
O 0.1031 0.8117 0.7228  1 S 1.49
O 0.2507 0.2479 0.7786  1 S 1.50
O 0.9468 0.9796 0.6710  2 H 0.99-1.01
O 0.7291 0.9340 0.4422  2 H 0.98-1.00
O 0.8909 0.6156 0.9391  2 H 0.99
O 0.2291 0.0660 0.0578  2 H 0.98-1.00
O 0.2899 0.5298 0.9311  2 H 0.98-0.99
O 0.5370 0.3600 0.7830  1 S 1.49
O 0.9677 0.6993 0.5318  1 S 1.50
O 0.3298 0.8478 0.9491  2 H 0.98-0.99
O 0.9808 0.8753 0.1225  2 H 0.99
O 0.7709 0.9340 0.9422  2 H 0.98-1.00
O 0.4677 0.3007 0.9682  1 S 1.50
O 0.4572 0.5951 0.6826  2 H 0.99
O 0.0370 0.6400 0.7170  1 S 1.49
O 0.0323 0.3007 0.4682  1 S 1.50
O 0.6091 0.6156 0.4391  2 H 0.99
O 0.8969 0.1883 0.2772  1 S 1.49
O 0.3969 0.8117 0.2228  1 S 1.49
O 0.7507 0.7521 0.7214  1 S 1.50
O 0.9572 0.4049 0.8174  2 H 0.99
O 0.7899 0.4702 0.5689  2 H 0.98-0.99
O 0.6031 0.1883 0.7772  1 S 1.49
O 0.6702 0.1522 0.0509  2 H 0.98-0.99
O 0.5428 0.4049 0.3174  2 H 0.99
O 0.8298 0.1522 0.5509  2 H 0.98-0.99
O 0.9630 0.3600 0.2830  1 S 1.49
O 0.0532 0.0204 0.3290  2 H 0.99-1.01
O 0.2709 0.0660 0.5578  2 H 0.98-1.00
O 0.2493 0.2479 0.2786  1 S 1.50
Cu 0.5000 0.0000 0.0000  4 O 2.00-2.02
Cu 0.0000 0.0000 0.5000  4 O 2.00-2.02
Co 0.5000 0.5000 0.5000  6 O 2.04-2.12
Co 0.0000 0.5000 0.0000  6 O 2.04-2.12
S 0.0350 0.2735 0.3261  4 O 1.49-1.50
S 0.9650 0.7265 0.6739  4 O 1.49-1.50
S 0.4650 0.2735 0.8261  4 O 1.49-1.50
S 0.5350 0.7265 0.1739  4 O 1.49-1.50

Properties
ΔE_f = -1353 meV/atom
DFT total energy = -5.178 eV/atom
magnetic moment = 4.00 μB per formula unit
SG = P2_1/c, No. 14
crystal system = monoclinic
E (MP2020) = -5.49 eV per atom

=====

No. 2
Density functional theory data (PBE with a Hubbard U) for crystalline Li7V8P12O48 at its relaxed geometry.

Cell lengths 8.5312, 8.7193, 12.0760 Å; angles 90.26, 90.25, 90.58 degrees
Closest atoms and distances in Å follow each position.
Sites, in units of the cell vectors:
O 0.1177 0.8439 0.5897  1 P 1.53
O 0.6193 0.6534 0.0824  1 P 1.53
O 0.8065 0.9894 0.2171  1 P 1.54
O 0.5574 0.3351 0.0884  1 P 1.52
O 0.6399 0.5837 0.4784  1 P 1.53
O 0.3446 0.9938 0.2577  1 P 1.58
O 0.9354 0.6275 0.5588  1 P 1.57
O 0.6605 0.8324 0.9243  1 P 1.55
O 0.0746 0.3974 0.8633  1 P 1.56
O 0.5768 0.4237 0.6655  1 P 1.57
O 0.3876 0.3537 0.9138  1 P 1.54
O 0.6601 0.0125 0.7342  1 P 1.57
O 0.3065 0.5042 0.7238  1 P 1.56
O 0.1841 0.5483 0.0408  1 P 1.54
O 0.3558 0.4326 0.5260  1 P 1.54
O 0.3170 0.0472 0.4581  1 P 1.52
O 0.9265 0.9116 0.8401  1 P 1.56
O 0.5715 0.1229 0.3574  1 P 1.54
O 0.8546 0.0773 0.0217  1 P 1.54
O 0.8280 0.3340 0.5659  1 P 1.55
O 0.3286 0.1641 0.0627  1 P 1.56
O 0.5654 0.1334 0.9339  1 P 1.56
O 0.1687 0.6670 0.4319  1 P 1.55
O 0.1379 0.7155 0.8315  1 P 1.56
O 0.1513 0.4876 0.2379  1 P 1.56
O 0.6385 0.7747 0.3203  1 P 1.54
O 0.6733 0.9457 0.5360  1 P 1.52
O 0.3239 0.2695 0.3197  1 P 1.56
O 0.2023 0.9928 0.7827  1 P 1.52
O 0.8359 0.2309 0.8161  1 P 1.55
O 0.0643 0.3723 0.4416  1 P 1.57
O 0.8477 0.5121 0.7627  1 P 1.55
O 0.8149 0.4429 0.9599  1 P 1.51
O 0.6937 0.4931 0.2833  1 P 1.55
O 0.0588 0.1610 0.5871  1 P 1.52
O 0.3726 0.2223 0.6706  1 P 1.52
O 0.4226 0.5835 0.3364  1 P 1.57
O 0.1765 0.7673 0.1826  1 P 1.55
O 0.0739 0.0937 0.1620  1 P 1.55
O 0.4399 0.8726 0.0586  1 P 1.53
O 0.4281 0.6573 0.9152  1 P 1.55
O 0.4274 0.8761 0.6434  1 P 1.54
O 0.8518 0.2733 0.1787  1 P 1.55
O 0.6796 0.7338 0.6817  1 P 1.56
O 0.9280 0.6195 0.1392  1 P 1.55
O 0.1441 0.9206 0.9810  1 P 1.56
O 0.9395 0.8366 0.4137  1 P 1.51
O 0.8831 0.1555 0.4115  1 P 1.54
Li 0.7677 0.7773 0.1797  4 O 1.93-2.03
Li 0.3001 0.7849 0.3232  4 O 2.00-2.06
Li 0.2659 0.7208 0.6851  4 O 1.98-2.08
Li 0.7318 0.2811 0.3225  4 O 1.94-2.02
Li 0.6969 0.2205 0.6770  4 O 1.97-2.06
Li 0.2035 0.2846 0.1761  4 O 1.97-2.03
Li 0.7997 0.7174 0.8221  4 O 1.97-2.01
P 0.3970 0.3923 0.6464  4 O 1.52-1.57
P 0.4631 0.2486 0.0005  4 O 1.52-1.56
P 0.8940 0.1077 0.1446  4 O 1.54-1.55
P 0.6074 0.8900 0.6460  4 O 1.52-1.57
P 0.0382 0.7505 0.4968  4 O 1.51-1.57
P 0.1086 0.6083 0.1480  4 O 1.54-1.56
P 0.8921 0.3935 0.8529  4 O 1.51-1.56
P 0.6026 0.6083 0.3556  4 O 1.53-1.57
P 0.9620 0.2505 0.5044  4 O 1.52-1.57
P 0.5342 0.7512 0.9961  4 O 1.53-1.55
P 0.3913 0.1105 0.3532  4 O 1.52-1.58
P 0.1064 0.8878 0.8565  4 O 1.52-1.56
V 0.7470 0.4624 0.1161  6 O 1.98-2.09
V 0.2453 0.4614 0.3883  6 O 1.84-2.00
V 0.2495 0.0376 0.6196  6 O 2.00-2.10
V 0.7479 0.0395 0.8846  6 O 1.87-2.01
V 0.7539 0.5420 0.6127  6 O 1.83-2.01
V 0.2518 0.9637 0.1116  6 O 1.86-2.02
V 0.2523 0.5241 0.8866  6 O 1.89-2.05
V 0.7522 0.9654 0.3841  6 O 1.96-2.10

Properties
ΔE_f = -2687 meV/atom
DFT total energy = -7.246 eV/atom
magnetic moment = 11.00 μB per formula unit
SG = P1, No. 1
crystal system = triclinic
E (MP2020) = -7.87 eV per atom

=====

No. 3
Density functional theory data (PBE with a Hubbard U) for crystalline Li2Fe2P3O12 at its relaxed geometry.

Cell lengths 8.6644, 8.7968, 12.2228 Å; angles 90.00, 90.00, 90.00 degrees
Closest atoms and distances in Å follow each position.
Sites, in units of the cell vectors:
P 0.3943 0.1067 0.8529  4 O 1.53-1.55
P 0.8943 0.1067 0.6471  4 O 1.53-1.55
P 0.6057 0.8933 0.1471  4 O 1.53-1.55
P 0.5396 0.7500 0.5000  4 O 1.53-1.55
P 0.9604 0.2500 0.0000  4 O 1.53-1.55
P 0.1057 0.8933 0.3529  4 O 1.53-1.55
P 0.4604 0.2500 0.5000  4 O 1.53-1.55
P 0.8943 0.3933 0.3529  4 O 1.53-1.55
P 0.1057 0.6067 0.6471  4 O 1.53-1.55
P 0.6057 0.6067 0.8529  4 O 1.53-1.55
P 0.0396 0.7500 0.0000  4 O 1.53-1.55
P 0.3943 0.3933 0.1471  4 O 1.53-1.55
Li 0.2830 0.7779 0.8188  4 O 1.95-2.00
Li 0.7830 0.7221 0.3188  4 O 1.95-2.00
Li 0.2170 0.2221 0.3188  4 O 1.95-2.00
Li 0.2830 0.7221 0.1812  4 O 1.95-2.00
Li 0.7170 0.2221 0.1812  4 O 1.95-2.00
Li 0.2170 0.2779 0.6812  4 O 1.95-2.00
Li 0.7170 0.2779 0.8188  4 O 1.95-2.00
Li 0.7830 0.7779 0.6812  4 O 1.95-2.00
O 0.1562 0.9340 0.4693  1 P 1.53
O 0.3438 0.4340 0.0307  1 P 1.53
O 0.8530 0.1625 0.9204  1 P 1.55
O 0.1562 0.5660 0.5307  1 P 1.53
O 0.4272 0.8955 0.1560  1 P 1.55
O 0.0567 0.3572 0.9288  1 P 1.53
O 0.9433 0.6428 0.0712  1 P 1.53
O 0.9272 0.8955 0.3440  1 P 1.55
O 0.3530 0.1625 0.5796  1 P 1.55
O 0.8254 0.5139 0.2743  1 P 1.55
O 0.6562 0.9340 0.0307  1 P 1.53
O 0.1622 0.7325 0.3202  1 P 1.55
O 0.0567 0.1428 0.0712  1 P 1.53
O 0.4272 0.6045 0.8440  1 P 1.55
O 0.0728 0.3955 0.3440  1 P 1.55
O 0.3378 0.2675 0.8202  1 P 1.55
O 0.0728 0.1045 0.6560  1 P 1.55
O 0.1746 0.0139 0.2743  1 P 1.55
O 0.6562 0.5660 0.9693  1 P 1.53
O 0.3530 0.3375 0.4204  1 P 1.55
O 0.8378 0.2325 0.3202  1 P 1.55
O 0.6746 0.0139 0.2257  1 P 1.55
O 0.5567 0.3572 0.5712  1 P 1.53
O 0.6622 0.7675 0.8202  1 P 1.55
O 0.3254 0.9861 0.7743  1 P 1.55
O 0.8254 0.9861 0.7257  1 P 1.55
O 0.5567 0.1428 0.4288  1 P 1.53
O 0.6470 0.6625 0.5796  1 P 1.55
O 0.4433 0.6428 0.4288  1 P 1.53
O 0.6622 0.7325 0.1798  1 P 1.55
O 0.9433 0.8572 0.9288  1 P 1.53
O 0.6746 0.4861 0.7743  1 P 1.55
O 0.6470 0.8375 0.4204  1 P 1.55
O 0.5728 0.3955 0.1560  1 P 1.55
O 0.1622 0.7675 0.6798  1 P 1.55
O 0.8438 0.0660 0.5307  1 P 1.53
O 0.1470 0.8375 0.0796  1 P 1.55
O 0.9272 0.6045 0.6560  1 P 1.55
O 0.3254 0.5139 0.2257  1 P 1.55
O 0.1746 0.4861 0.7257  1 P 1.55
O 0.4433 0.8572 0.5712  1 P 1.53
O 0.3378 0.2325 0.1798  1 P 1.55
O 0.5728 0.1045 0.8440  1 P 1.55
O 0.8530 0.3375 0.0796  1 P 1.55
O 0.8438 0.4340 0.4693  1 P 1.53
O 0.8378 0.2675 0.6798  1 P 1.55
O 0.1470 0.6625 0.9204  1 P 1.55
O 0.3438 0.0660 0.9693  1 P 1.53
Fe 0.7492 0.4596 0.6129  6 O 1.95-2.09
Fe 0.2508 0.9596 0.6129  6 O 1.95-2.09
Fe 0.2508 0.5404 0.3871  6 O 1.95-2.09
Fe 0.7492 0.0404 0.3871  6 O 1.95-2.09
Fe 0.7508 0.9596 0.8871  6 O 1.95-2.09
Fe 0.2492 0.0404 0.1129  6 O 1.95-2.09
Fe 0.2492 0.4596 0.8871  6 O 1.95-2.09
Fe 0.7508 0.5404 0.1129  6 O 1.95-2.09

Properties
ΔE_f = -2402 meV/atom
energy relative to the lowest polymorph listed for this composition = 0.00 eV/f.u.
DFT total energy = -6.803 eV/atom
magnetic moment = 11.00 μB per formula unit
SG = Pbcn, No. 60
crystal system = orthorhombic
E (MP2020) = -7.47 eV per atom

=====

No. 4
Density functional theory data (PBE with a Hubbard U) for crystalline HoCrTeO6 at its relaxed geometry.

Cell lengths 5.1959, 5.1957, 9.7306 Å; angles 90.00, 90.00, 120.00 degrees
Closest atoms and distances in Å follow each position.
Sites, in units of the cell vectors:
O 0.9900 0.6366 0.1388  1 Te 1.96, 1 Cr 2.02
O 0.3534 0.3634 0.6388  1 Te 1.96, 1 Cr 2.02
O 0.6366 0.9900 0.6388  1 Te 1.96, 1 Cr 2.02
O 0.6466 0.0100 0.1388  1 Te 1.96, 1 Cr 2.02
O 0.3534 0.9900 0.8612  1 Te 1.96, 1 Cr 2.02
O 0.9900 0.3534 0.3612  1 Te 1.96, 1 Cr 2.02
O 0.6366 0.6466 0.8612  1 Te 1.96, 1 Cr 2.02
O 0.3634 0.3534 0.1388  1 Te 1.96, 1 Cr 2.02
O 0.0100 0.6466 0.6388  1 Te 1.96, 1 Cr 2.02
O 0.0100 0.3634 0.8612  1 Te 1.96, 1 Cr 2.02
O 0.3634 0.0100 0.3612  1 Te 1.96, 1 Cr 2.02
O 0.6466 0.6366 0.3612  1 Te 1.96, 1 Cr 2.02
Cr 0.3333 0.6667 0.2500  6 O 2.02
Cr 0.6667 0.3333 0.7500  6 O 2.02
Te 0.3333 0.6667 0.7500  6 O 1.96
Te 0.6667 0.3333 0.2500  6 O 1.96
Ho 0.0000 0.0000 0.5000  6 O 2.30
Ho 0.0000 0.0000 0.0000  6 O 2.30

Properties
ΔE_f = -2546 meV/atom
energy relative to the lowest polymorph listed for this composition = 0.00 eV/f.u.
DFT total energy = -7.096 eV/atom
magnetic moment = 3.00 μB per formula unit
SG = P-31c, No. 163
crystal system = trigonal
E (MP2020) = -7.78 eV per atom